[1]
A relaxed CdRh2Pb crystal. Source: Materials Project, functional PBE.

Lattice parameters (Å, degrees): 6.601 6.601 6.601 90.00 90.00 90.00
Fractional positions:
Cd 0.000 0.000 0.000
Cd 0.000 0.500 0.500
Cd 0.500 0.000 0.500
Cd 0.500 0.500 0.000
Rh 0.250 0.250 0.250
Rh 0.250 0.250 0.750
Rh 0.250 0.750 0.250
Rh 0.250 0.750 0.750
Rh 0.750 0.250 0.250
Rh 0.750 0.250 0.750
Rh 0.750 0.750 0.250
Rh 0.750 0.750 0.750
Pb 0.000 0.000 0.500
Pb 0.000 0.500 0.000
Pb 0.500 0.000 0.000
Pb 0.500 0.500 0.500

Calculated values
The calculation puts the final energy at -4.912 eV/atom. The space group is Fm-3m (225).

***

[2]
A relaxed SrCdPb crystal. Source: Materials Project, functional PBE.

Lattice parameters (Å, degrees): 12.086 5.209 8.205 90.00 131.95 90.00
Fractional positions:
Sr 0.044 0.000 0.295
Sr 0.456 0.500 0.705
Sr 0.544 0.500 0.295
Sr 0.956 0.000 0.705
Cd 0.154 0.500 0.101
Cd 0.346 0.000 0.899
Cd 0.654 0.000 0.101
Cd 0.846 0.500 0.899
Pb 0.168 0.500 0.727
Pb 0.332 0.000 0.273
Pb 0.668 0.000 0.727
Pb 0.832 0.500 0.273

Calculated values
The calculation puts the final energy at -2.517 eV/atom. The space group is C2/m (12).

***

[3]
A relaxed Sr2CdPb crystal. Source: Materials Project, functional PBE.

Lattice parameters (Å, degrees): 8.196 8.196 8.196 90.00 90.00 90.00
Fractional positions:
Sr 0.250 0.250 0.250
Sr 0.250 0.250 0.750
Sr 0.250 0.750 0.250
Sr 0.250 0.750 0.750
Sr 0.750 0.250 0.250
Sr 0.750 0.250 0.750
Sr 0.750 0.750 0.250
Sr 0.750 0.750 0.750
Cd 0.000 0.000 0.000
Cd 0.000 0.500 0.500
Cd 0.500 0.000 0.500
Cd 0.500 0.500 0.000
Pb 0.000 0.000 0.500
Pb 0.000 0.500 0.000
Pb 0.500 0.000 0.000
Pb 0.500 0.500 0.500

Calculated values
The calculation puts the final energy at -2.498 eV/atom. The space group is Fm-3m (225).

***

[4]
A relaxed Cd4Te5Pb crystal. Source: Materials Project, functional PBE.

Lattice parameters (Å, degrees): 12.829 12.829 12.829 158.78 37.51 149.44
Fractional positions:
Cd 0.106 0.000 0.106
Cd 0.295 0.998 0.296
Cd 0.702 0.998 0.704
Cd 0.894 0.000 0.894
Te 0.053 0.254 0.799
Te 0.201 0.201 0.000
Te 0.455 0.254 0.201
Te 0.648 0.258 0.390
Te 0.869 0.258 0.610
Pb 0.503 0.003 0.500

Calculated values
The calculation puts the final energy at -2.695 eV/atom. The space group is Imm2 (44).

***

[5]
A relaxed Cd3Pd crystal. Source: Materials Project, functional PBE.

Lattice parameters (Å, degrees): 4.260 4.260 4.260 90.00 90.00 90.00
Fractional positions:
Cd 0.000 0.000 0.500
Cd 0.000 0.500 0.000
Cd 0.500 0.000 0.000
Pd 0.500 0.500 0.500

Calculated values
The calculation puts the final energy at -2.202 eV/atom. The space group is Pm-3m (221).

***

[6]
A relaxed Cd3Pd crystal. Source: Materials Project, functional PBE.

Lattice parameters (Å, degrees): 6.010 6.010 4.949 90.00 90.00 120.00
Fractional positions:
Cd 0.171 0.342 0.250
Cd 0.171 0.829 0.250
Cd 0.342 0.171 0.750
Cd 0.658 0.829 0.250
Cd 0.829 0.171 0.750
Cd 0.829 0.658 0.750
Pd 0.333 0.667 0.750
Pd 0.667 0.333 0.250

Calculated values
The calculation puts the final energy at -2.205 eV/atom. The space group is P6_3/mmc (194).

***

final energy of number 3 (Sr2CdPb)?
-2.498 eV/atom

***

Among the records above, which one has the highest final energy?
number 5

***

What is the formula in the third record?
Sr2CdPb

***

Please write out number 3 again, unchanged.
A relaxed Sr2CdPb crystal. Source: Materials Project, functional PBE.

Lattice parameters (Å, degrees): 8.196 8.196 8.196 90.00 90.00 90.00
Fractional positions:
Sr 0.250 0.250 0.250
Sr 0.250 0.250 0.750
Sr 0.250 0.750 0.250
Sr 0.250 0.750 0.750
Sr 0.750 0.250 0.250
Sr 0.750 0.250 0.750
Sr 0.750 0.750 0.250
Sr 0.750 0.750 0.750
Cd 0.000 0.000 0.000
Cd 0.000 0.500 0.500
Cd 0.500 0.000 0.500
Cd 0.500 0.500 0.000
Pb 0.000 0.000 0.500
Pb 0.000 0.500 0.000
Pb 0.500 0.000 0.000
Pb 0.500 0.500 0.500

Calculated values
The calculation puts the final energy at -2.498 eV/atom. The space group is Fm-3m (225).